1.
Computed, not measured: Zn3Ga2N4 after structural relaxation at the PBE-GGA level of DFT.

Cell lengths 5.3506, 10.8391, 8.0240 Å; angles 90.00, 90.00, 90.00 degrees
Closest atoms and distances in Å follow each position.
Element x y z (fractional)
Zn  0.7264  0.1463  0.3755  3 N 1.95-2.10
Zn  0.7736  0.8537  0.3755  3 N 1.95-2.10
Zn  0.7264  0.3537  0.1245  3 N 1.95-2.10
Zn  0.7736  0.6463  0.1245  3 N 1.95-2.10
Zn  0.2736  0.8537  0.6245  3 N 1.95-2.10
Zn  0.2264  0.1463  0.6245  3 N 1.95-2.10
Zn  0.2736  0.6463  0.8755  3 N 1.95-2.10
Zn  0.2264  0.3537  0.8755  3 N 1.95-2.10
Zn  0.7500  0.5000  0.4449  2 N 2.00
Zn  0.7500  0.0000  0.0551  2 N 2.00
Zn  0.2500  0.5000  0.5551  2 N 2.00
Zn  0.2500  0.0000  0.9449  2 N 2.00
Ga  0.7500  0.5000  0.7985  4 N 1.94-2.01
Ga  0.7500  0.0000  0.7015  4 N 1.94-2.01
Ga  0.2500  0.5000  0.2015  4 N 1.94-2.01
Ga  0.2500  0.0000  0.2985  4 N 1.94-2.01
Ga  0.7778  0.2500  0.7500  4 N 1.93-2.06
Ga  0.7222  0.7500  0.7500  4 N 1.93-2.06
Ga  0.2222  0.7500  0.2500  4 N 1.93-2.06
Ga  0.2778  0.2500  0.2500  4 N 1.93-2.06
N  0.9960  0.3959  0.6717  2 Zn 2.00-2.10, 2 Ga 2.01-2.06
N  0.5040  0.6041  0.6717  2 Zn 2.00-2.10, 2 Ga 2.01-2.06
N  0.9960  0.1041  0.8283  2 Zn 2.00-2.10, 2 Ga 2.01-2.06
N  0.5040  0.8959  0.8283  2 Zn 2.00-2.10, 2 Ga 2.01-2.06
N  0.0040  0.6041  0.3283  2 Zn 2.00-2.10, 2 Ga 2.01-2.06
N  0.4960  0.3959  0.3283  2 Zn 2.00-2.10, 2 Ga 2.01-2.06
N  0.0040  0.8959  0.1717  2 Zn 2.00-2.10, 2 Ga 2.01-2.06
N  0.4960  0.1041  0.1717  2 Zn 2.00-2.10, 2 Ga 2.01-2.06
N  0.5892  0.3565  0.8954  2 Ga 1.93-1.94, 2 Zn 1.95-1.98
N  0.9108  0.6435  0.8954  2 Ga 1.93-1.94, 2 Zn 1.95-1.98
N  0.5892  0.1435  0.6046  2 Ga 1.93-1.94, 2 Zn 1.95-1.98
N  0.9108  0.8565  0.6046  2 Ga 1.93-1.94, 2 Zn 1.95-1.98
N  0.4108  0.6435  0.1046  2 Ga 1.93-1.94, 2 Zn 1.95-1.98
N  0.0892  0.3565  0.1046  2 Ga 1.93-1.94, 2 Zn 1.95-1.98
N  0.4108  0.8565  0.3954  2 Ga 1.93-1.94, 2 Zn 1.95-1.98
N  0.0892  0.1435  0.3954  2 Ga 1.93-1.94, 2 Zn 1.95-1.98

Summary:
E_tot = -42.88 eV per formula unit
Formation enthalpy at 0 K = -126.8 meV per atom
ρ = 5.59 g cm⁻³
Size of the total moment = 0.0 μB/f.u.

2.
Computed, not measured: Zn3Ga2N4 after structural relaxation at the PBE-GGA level of DFT.

Cell lengths 6.4256, 9.3996, 5.3652 Å; angles 90.00, 93.98, 137.00 degrees
Closest atoms and distances in Å follow each position.
Element x y z (fractional)
Zn  0.2300  0.9587  0.1007  3 N 1.97-2.16
Zn  0.7700  0.7287  0.3993  3 N 1.97-2.16
Zn  0.7700  0.0413  0.8993  3 N 1.97-2.16
Zn  0.2300  0.2713  0.6007  3 N 1.97-2.16
Zn  0.0000  0.6564  0.7500  4 N 2.12-2.14
Zn  0.0000  0.3436  0.2500  4 N 2.12-2.14
Ga  0.5680  0.1729  0.6320  4 N 1.96-2.07
Ga  0.4320  0.6049  0.8680  4 N 1.96-2.07
Ga  0.4320  0.8271  0.3680  4 N 1.96-2.07
Ga  0.5680  0.3951  0.1320  4 N 1.96-2.07
N  0.2009  0.8868  0.4872  2 Ga 1.97-2.07, 3 Zn 1.97-2.16
N  0.7991  0.6859  0.0128  2 Ga 1.97-2.07, 3 Zn 1.97-2.16
N  0.7991  0.1132  0.5128  2 Ga 1.97-2.07, 3 Zn 1.97-2.16
N  0.2009  0.3141  0.9872  2 Ga 1.97-2.07, 3 Zn 1.97-2.16
N  0.6191  0.2284  0.0030  2 Ga 1.96-2.00, 2 Zn 1.97-2.14
N  0.3809  0.6093  0.4970  2 Ga 1.96-2.00, 2 Zn 1.97-2.14
N  0.3809  0.7716  0.9970  2 Ga 1.96-2.00, 2 Zn 1.97-2.14
N  0.6191  0.3907  0.5030  2 Ga 1.96-2.00, 2 Zn 1.97-2.14

Summary:
E_tot = -43.09 eV per formula unit
Formation enthalpy at 0 K = -150.3 meV per atom
ρ = 5.92 g cm⁻³
Size of the total moment = 0.0 μB/f.u.

3.
Computed, not measured: Zn3Ga3N5 after structural relaxation at the PBE-GGA level of DFT.

Cell lengths 5.8679, 6.5965, 8.4389 Å; angles 107.67, 107.44, 98.92 degrees
Closest atoms and distances in Å follow each position.
Element x y z (fractional)
Zn  0.7051  0.4422  0.5967  3 N 1.96-2.06
Zn  0.2949  0.5578  0.4033  3 N 1.96-2.06
Zn  0.6238  0.7149  0.9613  2 N 1.91-1.95
Zn  0.3762  0.2851  0.0387  2 N 1.91-1.95
Zn  0.8234  0.6153  0.2820  3 N 1.96-2.11
Zn  0.1766  0.3847  0.7180  3 N 1.96-2.11
Ga  0.8903  0.2958  0.9663  4 N 1.91-2.04
Ga  0.1097  0.7042  0.0337  4 N 1.91-2.04
Ga  0.7156  0.9560  0.5868  4 N 1.94-2.07
Ga  0.2844  0.0440  0.4132  4 N 1.94-2.07
Ga  0.1627  0.8538  0.7066  4 N 1.92-2.07
Ga  0.8373  0.1462  0.2934  4 N 1.92-2.07
N  0.0476  0.1329  0.7989  3 Ga 2.04-2.07, 2 Zn 2.10-2.16
N  0.9524  0.8671  0.2011  3 Ga 2.04-2.07, 2 Zn 2.10-2.16
N  0.8205  0.6879  0.5243  2 Ga 1.94-2.01, 2 Zn 1.96-1.99
N  0.1795  0.3121  0.4757  2 Ga 1.94-2.01, 2 Zn 1.96-1.99
N  0.7764  0.4973  0.8506  2 Zn 1.95-1.96, 2 Ga 1.96-2.04
N  0.2236  0.5027  0.1494  2 Zn 1.95-1.96, 2 Ga 1.96-2.04
N  0.3696  0.8810  0.5721  3 Ga 1.92-1.97, 1 Zn 2.06
N  0.6304  0.1190  0.4279  3 Ga 1.92-1.97, 1 Zn 2.06
N  0.2856  0.7231  0.8790  2 Ga 1.91-1.92, 2 Zn 1.91-2.11
N  0.7144  0.2769  0.1210  2 Ga 1.91-1.92, 2 Zn 1.91-2.11

Summary:
E_tot = -54.92 eV per formula unit
Formation enthalpy at 0 K = -198.2 meV per atom
ρ = 5.52 g cm⁻³
Size of the total moment = 0.0 μB/f.u.

4.
Computed, not measured: ZrGa2N2 after structural relaxation at the PBE-GGA level of DFT.

Cell lengths 3.2408, 3.2408, 8.5503 Å; angles 90.00, 90.00, 120.00 degrees
Closest atoms and distances in Å follow each position.
Element x y z (fractional)
Zr  0.0000  0.0000  0.0000  6 N 2.24
Ga  0.6666  0.3333  0.3216  3 N 2.41
Ga  0.3334  0.6667  0.6784  3 N 2.41
N  0.6666  0.3333  0.8562  3 Zr 2.24, 3 Ga 2.41
N  0.3334  0.6667  0.1438  3 Zr 2.24, 3 Ga 2.41

Summary:
E_tot = -33.85 eV per formula unit
Formation enthalpy at 0 K = -659.2 meV per atom
ρ = 5.52 g cm⁻³
Size of the total moment = 0.0 μB/f.u.